Li2Zr2O5 | the Materials Project database | PBE | optimized geometry; formation energy from the elements = -3.135 eV/atom; MP2020-corrected energy = -8.208 eV/atom; space-group type = Pnna (52); energy above the most stable polymorph in this dataset = 88 meV/atom; size of the total moment = 0.0 Bohr magnetons per cell
1.0
-3.406 4.357 -0.909
-6.337 -5.134 -0.863
-2.084 0.698 11.150
Li O Zr
8 20 8
Cartesian
-10.245 -0.135 4.906
-8.513 -2.003 3.305
-1.581 0.055 4.471
-6.048 0.480 9.402
-2.968 -1.840 0.582
-5.778 -0.559 -0.024
-3.313 1.923 6.073
-8.859 1.761 8.796
-6.597 1.882 3.268
-6.120 0.874 5.766
-3.216 -0.673 8.129
-8.500 -0.356 4.225
-3.621 3.584 0.272
-4.891 -2.184 -0.778
-2.587 -0.317 -0.464
-5.229 -1.962 6.109
-7.359 -2.990 4.603
-7.442 -3.070 -0.026
-8.087 -1.061 7.242
-8.611 0.593 1.249
-4.384 2.991 9.404
-4.468 2.910 4.775
-7.156 -0.460 -1.309
-5.706 -0.954 3.612
-8.206 -3.663 9.106
-3.740 0.982 2.135
-3.327 0.277 5.153
-4.851 1.407 -0.995
-5.167 -2.956 3.991
-3.027 1.563 0.356
-6.210 4.014 9.152
-7.001 -0.958 5.563
-6.659 2.877 5.387
-5.616 -4.093 0.226
-4.826 0.878 3.815
-8.800 -1.642 9.022